1.
{
  "formula": "TbCo2Si2",
  "functional": "GGA-PBE",
  "state": "optimized geometry",
  "dft_energy_ev_per_fu": -33.8,
  "formation_enthalpy_0k_ev_per_atom": -0.80,
  "vol_a3_per_cell": 74,
  "space_group": "I4/mmm (139)",
  "crystal_system": "tetragonal",
  "lattice_angstrom": [[2.846, 4.432, 1.937], [-1.598, 5.244, -1.196], [-2.204, -4.807, 1.879]],
  "species": ["Tb", "Co", "Co", "Si", "Si"],
  "fractional_positions": [[0.000, 0.000, 0.000], [0.250, 0.750, 0.500], [0.750, 0.250, 0.500], [0.629, 0.629, 0.000], [0.371, 0.371, 0.000]]
}


2.
{
  "formula": "Ba3HoRu2O9",
  "functional": "GGA-PBE",
  "state": "optimized geometry",
  "dft_energy_ev_per_fu": -106.8,
  "formation_enthalpy_0k_ev_per_atom": -2.64,
  "vol_a3_per_cell": 448,
  "space_group": "P6_3/mmc (194)",
  "crystal_system": "hexagonal",
  "lattice_angstrom": [[2.977, -5.157, 0.000], [2.977, 5.157, 0.000], [0.000, 0.000, 14.576]],
  "species": ["O", "O", "O", "O", "O", "O", "O", "O", "O", "O", "O", "O", "O", "O", "O", "O", "O", "O", "Ba", "Ba", "Ba", "Ba", "Ba", "Ba", "Ru", "Ru", "Ru", "Ru", "Ho", "Ho"],
  "fractional_positions": [[0.510, 0.490, 0.250], [0.979, 0.490, 0.250], [0.176, 0.824, 0.588], [0.352, 0.176, 0.088], [0.490, 0.979, 0.750], [0.648, 0.824, 0.912], [0.021, 0.510, 0.750], [0.824, 0.648, 0.412], [0.352, 0.176, 0.412], [0.176, 0.824, 0.912], [0.510, 0.021, 0.250], [0.648, 0.824, 0.588], [0.824, 0.648, 0.088], [0.824, 0.176, 0.088], [0.176, 0.352, 0.912], [0.176, 0.352, 0.588], [0.490, 0.510, 0.750], [0.824, 0.176, 0.412], [0.000, 0.000, 0.250], [0.333, 0.667, 0.406], [0.000, 0.000, 0.750], [0.667, 0.333, 0.594], [0.333, 0.667, 0.094], [0.667, 0.333, 0.906], [0.667, 0.333, 0.336], [0.333, 0.667, 0.664], [0.333, 0.667, 0.836], [0.667, 0.333, 0.164], [0.000, 0.000, 0.500], [0.000, 0.000, 0.000]]
}


3.
{
  "formula": "NbO2",
  "functional": "GGA-PBE",
  "state": "optimized geometry",
  "dft_energy_ev_per_fu": -27.3,
  "formation_enthalpy_0k_ev_per_atom": -2.90,
  "vol_a3_per_cell": 292,
  "space_group": "I4_1/a (88)",
  "crystal_system": "tetragonal",
  "lattice_angstrom": [[-4.900, 4.900, 3.044], [4.900, -4.900, 3.044], [4.900, 4.900, -3.044]],
  "species": ["O", "O", "O", "O", "O", "O", "O", "O", "O", "O", "O", "O", "O", "O", "O", "O", "Nb", "Nb", "Nb", "Nb", "Nb", "Nb", "Nb", "Nb"],
  "fractional_positions": [[0.030, 0.786, 0.548], [0.025, 0.497, 0.742], [0.036, 0.988, 0.256], [0.717, 0.975, 0.472], [0.495, 0.467, 0.242], [0.755, 0.283, 0.258], [0.518, 0.970, 0.756], [0.732, 0.780, 0.744], [0.533, 0.775, 0.028], [0.747, 0.505, 0.972], [0.220, 0.964, 0.952], [0.503, 0.245, 0.528], [0.225, 0.253, 0.758], [0.012, 0.268, 0.048], [0.214, 0.762, 0.244], [0.238, 0.482, 0.452], [0.835, 0.606, 0.744], [0.415, 0.144, 0.756], [0.856, 0.612, 0.271], [0.394, 0.138, 0.229], [0.909, 0.165, 0.771], [0.862, 0.091, 0.256], [0.341, 0.585, 0.729], [0.388, 0.659, 0.244]]
}


4.
{
  "formula": "Na5Sn13",
  "functional": "GGA-PBE",
  "state": "optimized geometry",
  "dft_energy_ev_per_fu": -60.5,
  "formation_enthalpy_0k_ev_per_atom": -0.10,
  "vol_a3_per_cell": 4601,
  "space_group": "Cmcm (63)",
  "crystal_system": "orthorhombic",
  "lattice_angstrom": [[-4.150, 1.883, 7.954], [1.859, -10.557, -1.814], [45.386, 4.090, 22.713]],
  "species": ["Sn", "Sn", "Sn", "Sn", "Sn", "Sn", "Sn", "Sn", "Sn", "Sn", "Sn", "Sn", "Sn", "Sn", "Sn", "Sn", "Sn", "Sn", "Sn", "Sn", "Sn", "Sn", "Sn", "Sn", "Sn", "Sn", "Sn", "Sn", "Sn", "Sn", "Sn", "Sn", "Sn", "Sn", "Sn", "Sn", "Sn", "Sn", "Sn", "Sn", "Sn", "Sn", "Sn", "Sn", "Sn", "Sn", "Sn", "Sn", "Sn", "Sn", "Sn", "Sn", "Sn", "Sn", "Sn", "Sn", "Sn", "Sn", "Sn", "Sn", "Sn", "Sn", "Sn", "Sn", "Sn", "Sn", "Sn", "Sn", "Sn", "Sn", "Sn", "Sn", "Sn", "Sn", "Sn", "Sn", "Sn", "Sn", "Sn", "Sn", "Sn", "Sn", "Sn", "Sn", "Sn", "Sn", "Sn", "Sn", "Sn", "Sn", "Sn", "Sn", "Sn", "Sn", "Sn", "Sn", "Sn", "Sn", "Sn", "Sn", "Sn", "Sn", "Sn", "Sn", "Na", "Na", "Na", "Na", "Na", "Na", "Na", "Na", "Na", "Na", "Na", "Na", "Na", "Na", "Na", "Na", "Na", "Na", "Na", "Na", "Na", "Na", "Na", "Na", "Na", "Na", "Na", "Na", "Na", "Na", "Na", "Na", "Na", "Na", "Na", "Na", "Na", "Na", "Na", "Na"],
  "fractional_positions": [[0.510, 0.344, 0.378], [0.128, 0.257, 0.920], [0.712, 0.829, 0.532], [0.045, 0.422, 0.750], [0.203, 0.938, 0.069], [0.834, 0.344, 0.122], [0.223, 0.940, 0.721], [0.584, 0.167, 0.309], [0.770, 0.540, 0.462], [0.881, 0.235, 0.707], [0.377, 0.422, 0.750], [0.474, 0.947, 0.153], [0.223, 0.940, 0.779], [0.354, 0.235, 0.793], [0.872, 0.743, 0.420], [0.416, 0.833, 0.809], [0.584, 0.167, 0.191], [0.139, 0.279, 0.669], [0.278, 0.557, 0.418], [0.139, 0.279, 0.831], [0.235, 0.944, 0.622], [0.230, 0.460, 0.962], [0.203, 0.938, 0.431], [0.572, 0.145, 0.006], [0.490, 0.656, 0.878], [0.291, 0.056, 0.122], [0.905, 0.810, 0.697], [0.722, 0.443, 0.918], [0.288, 0.171, 0.032], [0.119, 0.765, 0.293], [0.942, 0.407, 0.067], [0.230, 0.460, 0.538], [0.717, 0.940, 0.779], [0.646, 0.765, 0.293], [0.572, 0.145, 0.494], [0.117, 0.829, 0.532], [0.883, 0.171, 0.032], [0.001, 0.002, 0.152], [0.712, 0.829, 0.968], [0.428, 0.855, 0.994], [0.770, 0.540, 0.038], [0.765, 0.056, 0.378], [0.735, 0.938, 0.069], [0.474, 0.947, 0.347], [0.834, 0.344, 0.378], [0.955, 0.578, 0.250], [0.428, 0.855, 0.506], [0.283, 0.060, 0.221], [0.465, 0.407, 0.067], [0.717, 0.940, 0.721], [0.526, 0.053, 0.847], [0.340, 0.680, 0.178], [0.291, 0.056, 0.378], [0.235, 0.944, 0.878], [0.400, 0.801, 0.051], [0.777, 0.060, 0.279], [0.416, 0.833, 0.691], [0.535, 0.593, 0.933], [0.095, 0.190, 0.197], [0.861, 0.721, 0.169], [0.797, 0.062, 0.569], [0.278, 0.557, 0.082], [0.999, 0.998, 0.652], [0.265, 0.062, 0.569], [0.942, 0.407, 0.433], [0.265, 0.062, 0.931], [0.709, 0.944, 0.622], [0.283, 0.060, 0.279], [0.166, 0.656, 0.622], [0.881, 0.235, 0.793], [0.883, 0.171, 0.468], [0.722, 0.443, 0.582], [0.510, 0.344, 0.122], [0.095, 0.190, 0.303], [0.288, 0.171, 0.468], [0.646, 0.765, 0.207], [0.526, 0.053, 0.653], [0.905, 0.810, 0.803], [0.400, 0.801, 0.449], [0.709, 0.944, 0.878], [0.623, 0.578, 0.250], [0.166, 0.656, 0.878], [0.535, 0.593, 0.567], [0.765, 0.056, 0.122], [0.797, 0.062, 0.931], [0.354, 0.235, 0.707], [0.660, 0.320, 0.678], [0.777, 0.060, 0.221], [0.340, 0.680, 0.322], [0.119, 0.765, 0.207], [0.861, 0.721, 0.331], [0.058, 0.593, 0.933], [0.058, 0.593, 0.567], [0.660, 0.320, 0.822], [0.600, 0.199, 0.551], [0.001, 0.002, 0.348], [0.600, 0.199, 0.949], [0.128, 0.257, 0.580], [0.872, 0.743, 0.080], [0.465, 0.407, 0.433], [0.999, 0.998, 0.848], [0.117, 0.829, 0.968], [0.735, 0.938, 0.431], [0.490, 0.656, 0.622], [0.931, 0.861, 0.021], [0.802, 0.604, 0.857], [0.905, 0.809, 0.914], [0.069, 0.567, 0.813], [0.198, 0.396, 0.250], [0.931, 0.433, 0.187], [0.416, 0.315, 0.625], [0.802, 0.604, 0.750], [0.931, 0.433, 0.313], [0.643, 0.285, 0.250], [0.422, 0.844, 0.925], [0.578, 0.156, 0.425], [0.100, 0.685, 0.375], [0.198, 0.396, 0.357], [0.584, 0.168, 0.750], [0.422, 0.844, 0.575], [0.502, 0.433, 0.313], [0.069, 0.139, 0.979], [0.095, 0.191, 0.414], [0.498, 0.567, 0.687], [0.416, 0.315, 0.875], [0.502, 0.433, 0.187], [0.069, 0.567, 0.687], [0.931, 0.861, 0.479], [0.584, 0.685, 0.125], [0.905, 0.809, 0.586], [0.095, 0.191, 0.086], [0.069, 0.139, 0.521], [0.100, 0.685, 0.125], [0.057, 0.114, 0.750], [0.198, 0.396, 0.143], [0.416, 0.832, 0.250], [0.900, 0.315, 0.625], [0.498, 0.567, 0.813], [0.802, 0.604, 0.643], [0.357, 0.715, 0.750], [0.943, 0.886, 0.250], [0.578, 0.156, 0.075], [0.584, 0.685, 0.375], [0.900, 0.315, 0.875]]
}


5.
{
  "formula": "Na5La2In2P5SO24",
  "functional": "GGA-PBE",
  "state": "optimized geometry",
  "dft_energy_ev_per_fu": -260.9,
  "formation_enthalpy_0k_ev_per_atom": -2.70,
  "vol_a3_per_cell": 1774,
  "space_group": "P1 (1)",
  "crystal_system": "triclinic",
  "lattice_angstrom": [[9.317, 0.002, 0.011], [-4.657, 8.045, -0.041], [0.028, -0.106, 23.667]],
  "species": ["P", "P", "P", "P", "P", "P", "P", "P", "P", "P", "P", "P", "P", "P", "P", "O", "O", "O", "O", "O", "O", "O", "O", "O", "O", "O", "O", "O", "O", "O", "O", "O", "O", "O", "O", "O", "O", "O", "O", "O", "O", "O", "O", "O", "O", "O", "O", "O", "O", "O", "O", "O", "O", "O", "O", "O", "O", "O", "O", "O", "O", "O", "O", "O", "O", "O", "O", "O", "O", "O", "O", "O", "O", "O", "O", "O", "O", "O", "O", "O", "O", "O", "O", "O", "O", "O", "O", "La", "La", "La", "La", "La", "La", "In", "In", "In", "In", "In", "In", "Na", "Na", "Na", "Na", "Na", "Na", "Na", "Na", "Na", "Na", "Na", "Na", "Na", "Na", "Na", "S", "S", "S"],
  "fractional_positions": [[0.666, 0.028, 0.092], [0.356, 0.328, 0.090], [0.998, 0.297, 0.249], [0.695, 0.699, 0.252], [0.640, 0.973, 0.410], [0.669, 0.637, 0.572], [0.963, 0.333, 0.581], [0.328, 0.962, 0.922], [0.692, 0.004, 0.746], [0.021, 0.669, 0.413], [0.370, 0.035, 0.578], [0.003, 0.693, 0.752], [0.305, 0.305, 0.751], [0.977, 0.644, 0.085], [0.037, 0.373, 0.923], [0.526, 0.878, 0.359], [0.663, 0.521, 0.924], [0.798, 0.008, 0.796], [0.208, 0.214, 0.697], [0.569, 0.869, 0.465], [0.179, 0.171, 0.098], [0.674, 0.525, 0.243], [0.633, 0.113, 0.144], [0.807, 0.819, 0.928], [0.477, 0.140, 0.923], [0.893, 0.347, 0.639], [0.795, 0.770, 0.308], [0.884, 0.515, 0.133], [0.814, 0.986, 0.404], [0.121, 0.457, 0.867], [0.832, 0.304, 0.244], [0.210, 0.205, 0.803], [0.214, 0.019, 0.299], [0.153, 0.658, 0.082], [0.007, 0.195, 0.927], [0.320, 0.850, 0.255], [0.561, 0.665, 0.870], [0.966, 0.177, 0.298], [0.471, 0.149, 0.246], [0.143, 0.473, 0.976], [0.475, 0.314, 0.753], [0.671, 0.539, 0.519], [0.330, 0.482, 0.084], [0.106, 0.693, 0.471], [0.451, 0.107, 0.637], [0.151, 0.473, 0.258], [0.165, 0.682, 0.751], [0.657, 0.147, 0.415], [0.027, 0.225, 0.193], [0.835, 0.807, 0.572], [0.884, 0.583, 0.029], [0.134, 0.494, 0.576], [0.121, 0.642, 0.366], [0.205, 0.980, 0.196], [0.513, 0.854, 0.747], [0.190, 0.185, 0.400], [0.003, 0.825, 0.404], [0.841, 0.514, 0.415], [0.334, 0.882, 0.866], [0.972, 0.172, 0.577], [0.423, 0.291, 0.036], [0.822, 0.011, 0.098], [0.007, 0.786, 0.698], [0.302, 0.414, 0.464], [0.848, 0.324, 0.532], [0.540, 0.668, 0.973], [0.473, 0.357, 0.140], [0.772, 0.998, 0.689], [0.999, 0.787, 0.806], [0.659, 0.548, 0.627], [0.332, 0.860, 0.974], [0.680, 0.165, 0.750], [0.190, 0.003, 0.575], [0.317, 0.476, 0.749], [0.871, 0.375, 0.923], [0.360, 0.473, 0.364], [0.474, 0.146, 0.529], [0.524, 0.673, 0.572], [0.159, 0.958, 0.926], [0.492, 0.349, 0.414], [0.503, 0.857, 0.083], [0.522, 0.692, 0.257], [0.706, 0.139, 0.039], [0.360, 0.861, 0.575], [0.783, 0.821, 0.203], [0.855, 0.513, 0.754], [0.007, 0.822, 0.097], [0.325, 0.661, 0.505], [0.664, 0.348, 0.679], [0.346, 0.670, 0.820], [0.659, 0.323, 0.991], [0.003, 0.000, 0.647], [0.999, 0.011, 0.855], [0.676, 0.352, 0.183], [0.991, 0.995, 0.156], [0.321, 0.660, 0.317], [0.991, 0.994, 0.344], [0.338, 0.668, 0.022], [0.670, 0.326, 0.478], [0.997, 0.359, 0.749], [0.031, 0.696, 0.577], [0.349, 0.653, 0.666], [0.656, 0.323, 0.833], [0.703, 0.676, 0.415], [0.690, 0.343, 0.333], [0.979, 0.665, 0.921], [0.338, 0.642, 0.169], [0.305, 0.974, 0.085], [0.021, 0.018, 0.496], [0.664, 0.971, 0.581], [0.359, 0.999, 0.750], [0.641, 0.001, 0.250], [0.998, 0.009, 0.004], [0.026, 0.332, 0.088], [0.640, 0.668, 0.924], [0.300, 0.001, 0.249], [0.334, 0.354, 0.410]]
}


6.
{
  "formula": "CuSiO3",
  "functional": "GGA-PBE",
  "state": "optimized geometry",
  "dft_energy_ev_per_fu": -33.7,
  "formation_enthalpy_0k_ev_per_atom": -2.27,
  "vol_a3_per_cell": 481,
  "space_group": "P-1 (2)",
  "crystal_system": "triclinic",
  "lattice_angstrom": [[8.203, -0.013, -3.272], [-4.796, 6.666, -3.260], [-0.017, -0.019, 8.832]],
  "species": ["Cu", "Cu", "Cu", "Cu", "Cu", "Cu", "O", "O", "O", "O", "O", "O", "O", "O", "O", "O", "O", "O", "O", "O", "O", "O", "O", "O", "Si", "Si", "Si", "Si", "Si", "Si"],
  "fractional_positions": [[0.955, 0.342, 0.535], [0.045, 0.658, 0.465], [0.533, 0.953, 0.341], [0.339, 0.533, 0.950], [0.661, 0.467, 0.050], [0.466, 0.047, 0.659], [0.026, 0.735, 0.987], [0.216, 0.949, 0.634], [0.012, 0.974, 0.266], [0.733, 0.987, 0.025], [0.974, 0.265, 0.013], [0.267, 0.014, 0.975], [0.677, 0.061, 0.625], [0.323, 0.939, 0.375], [0.063, 0.626, 0.678], [0.937, 0.374, 0.322], [0.366, 0.784, 0.051], [0.049, 0.366, 0.786], [0.375, 0.322, 0.936], [0.625, 0.678, 0.064], [0.634, 0.216, 0.949], [0.784, 0.051, 0.366], [0.988, 0.026, 0.734], [0.951, 0.634, 0.215], [0.177, 0.787, 0.920], [0.785, 0.919, 0.177], [0.823, 0.213, 0.080], [0.919, 0.177, 0.786], [0.215, 0.081, 0.823], [0.081, 0.823, 0.214]]
}


7.
{
  "formula": "RbAuSe2O8",
  "functional": "GGA-PBE",
  "state": "optimized geometry",
  "dft_energy_ev_per_fu": -59.3,
  "formation_enthalpy_0k_ev_per_atom": -1.16,
  "vol_a3_per_cell": 208,
  "space_group": "C2/m (12)",
  "crystal_system": "monoclinic",
  "lattice_angstrom": [[1.175, -0.551, 6.128], [5.507, -0.194, 2.977], [2.048, 6.565, 3.559]],
  "species": ["O", "O", "O", "O", "O", "O", "O", "O", "Au", "Rb", "Se", "Se"],
  "fractional_positions": [[0.150, 0.150, 0.333], [0.671, 0.671, 0.072], [0.632, 0.132, 0.205], [0.850, 0.850, 0.667], [0.329, 0.329, 0.928], [0.368, 0.868, 0.795], [0.132, 0.632, 0.205], [0.868, 0.368, 0.795], [0.000, 0.000, 0.000], [0.500, 0.500, 0.500], [0.696, 0.696, 0.846], [0.304, 0.304, 0.154]]
}


8.
{
  "formula": "MgTiSnP3O12",
  "functional": "GGA-PBE",
  "state": "optimized geometry",
  "dft_energy_ev_per_fu": -130.7,
  "formation_enthalpy_0k_ev_per_atom": -2.77,
  "vol_a3_per_cell": 466,
  "space_group": "Cc (9)",
  "crystal_system": "monoclinic",
  "lattice_angstrom": [[-0.356, -7.051, 4.978], [5.377, -0.667, 6.742], [-3.192, 0.669, 8.011]],
  "species": ["P", "P", "P", "P", "P", "P", "Mg", "Mg", "O", "O", "O", "O", "O", "O", "O", "O", "O", "O", "O", "O", "O", "O", "O", "O", "O", "O", "O", "O", "O", "O", "O", "O", "Ti", "Ti", "Sn", "Sn"],
  "fractional_positions": [[0.450, 0.749, 0.047], [0.249, 0.951, 0.546], [0.547, 0.249, 0.950], [0.047, 0.450, 0.749], [0.749, 0.046, 0.451], [0.950, 0.546, 0.249], [0.004, 0.004, 0.004], [0.504, 0.504, 0.504], [0.106, 0.516, 0.311], [0.811, 0.016, 0.606], [0.496, 0.683, 0.891], [0.560, 0.409, 0.758], [0.909, 0.060, 0.258], [0.996, 0.391, 0.183], [0.258, 0.909, 0.060], [0.591, 0.244, 0.437], [0.758, 0.560, 0.409], [0.091, 0.937, 0.744], [0.409, 0.758, 0.560], [0.606, 0.811, 0.016], [0.183, 0.996, 0.391], [0.016, 0.606, 0.811], [0.937, 0.744, 0.091], [0.744, 0.091, 0.937], [0.891, 0.496, 0.683], [0.391, 0.183, 0.996], [0.311, 0.106, 0.516], [0.683, 0.891, 0.496], [0.516, 0.311, 0.106], [0.437, 0.591, 0.244], [0.244, 0.437, 0.591], [0.060, 0.258, 0.909], [0.144, 0.144, 0.144], [0.644, 0.644, 0.644], [0.855, 0.855, 0.855], [0.355, 0.355, 0.355]]
}